[1]
LaP7 | PBE | relaxed

```
32
Lattice="-10.466 -5.267 0.015 2.226 -4.409 5.021 -0.455 0.933 10.289" Properties=species:S:1:pos:R:3 pbc="T T T"
La -5.166 -6.665 11.827
La -1.681 -0.567 8.640
La -3.529 -2.078 3.498
La -7.014 -8.176 6.685
P -7.645 -5.138 4.024
P -1.459 -4.392 6.158
P -1.049 -3.605 11.302
P -7.235 -4.351 9.168
P -4.243 -5.468 7.667
P 0.295 -1.467 2.507
P -4.452 -3.275 7.659
P -8.989 -7.275 12.818
P -8.175 -6.785 10.808
P -3.568 -2.910 9.666
P -0.520 -1.958 4.517
P -5.127 -5.832 5.659
P -6.707 -3.910 11.286
P -0.386 -3.446 9.181
P -1.987 -4.833 4.039
P -8.309 -5.297 6.144
P -9.214 -5.145 9.808
P -2.868 -4.722 10.667
P 0.520 -3.598 5.518
P -5.827 -4.021 4.658
P -5.199 -2.358 11.036
P -8.706 -8.426 9.441
P -3.496 -6.385 4.289
P 0.011 -0.317 5.884
P -5.931 -6.171 8.889
P -1.734 -1.472 11.579
P -2.764 -2.572 6.437
P -6.961 -7.271 3.746
```

Computed properties:
Density = 3.60 g/cm³
Crystal system = monoclinic

---

[2]
LaP | PBE | relaxed

```
2
Lattice="0.000 3.025 3.025 3.025 0.000 3.025 3.025 3.025 0.000" Properties=species:S:1:pos:R:3 pbc="T T T"
La 0.000 0.000 0.000
P 3.025 3.025 3.025
```

Computed properties:
Density = 5.09 g/cm³
Crystal system = cubic

---

Here are the calculated energy of formation numbers, same order: -431.0 -1568.3 (meV/atom).